Entry 1:
Ba3CaSb2O9 | GGA-PBE | relaxed

Lattice parameters (Å, degrees): 6.0864 6.0864 15.0747 91.03 91.03 119.80
Element x y z (fractional)
Ba (0.0100, 0.9900, 0.7500)
Ba (0.3230, 0.6606, 0.4101)
Ba (0.3394, 0.6770, 0.0899)
Ba (0.6606, 0.3230, 0.9101)
Ba (0.6770, 0.3394, 0.5899)
Ba (0.9900, 0.0100, 0.2500)
Ca (0.0000, 0.0000, 0.0000)
Ca (0.0000, 0.0000, 0.5000)
Sb (0.3166, 0.6425, 0.8454)
Sb (0.3575, 0.6834, 0.6546)
Sb (0.6425, 0.3166, 0.3454)
Sb (0.6834, 0.3575, 0.1546)
O (0.0485, 0.5208, 0.7364)
O (0.1314, 0.3050, 0.8951)
O (0.1370, 0.7808, 0.9123)
O (0.2192, 0.8630, 0.5877)
O (0.2268, 0.3905, 0.5722)
O (0.3050, 0.1314, 0.3951)
O (0.3905, 0.2268, 0.0722)
O (0.4792, 0.9515, 0.7636)
O (0.4829, 0.5171, 0.7500)
O (0.5171, 0.4829, 0.2500)
O (0.5208, 0.0485, 0.2364)
O (0.6095, 0.7732, 0.9278)
O (0.6950, 0.8686, 0.6049)
O (0.7732, 0.6095, 0.4278)
O (0.7808, 0.1370, 0.4123)
O (0.8630, 0.2192, 0.0877)
O (0.8686, 0.6950, 0.1049)
O (0.9515, 0.4792, 0.2636)

Calculated values
As for the total energy: -6.3869 eV per atom. As for the formation energy: -2.76 eV per atom.

Entry 2:
BaCaSmSbO6 | GGA-PBE | relaxed

Lattice parameters (Å, degrees): 5.9472 5.9992 8.4674 90.43 90.51 90.09
Element x y z (fractional)
Ba (0.0050, 0.0270, 0.2503)
Ba (0.9950, 0.9730, 0.7497)
Ca (0.4929, 0.5392, 0.2540)
Ca (0.5071, 0.4608, 0.7460)
Sm (0.0000, 0.5000, 0.5000)
Sm (0.5000, 0.0000, 0.0000)
Sb (0.0000, 0.5000, 0.0000)
Sb (0.5000, 0.0000, 0.5000)
O (0.1027, 0.4958, 0.7691)
O (0.1993, 0.7662, 0.0361)
O (0.2305, 0.8011, 0.4750)
O (0.2709, 0.3082, 0.0590)
O (0.3154, 0.2786, 0.4480)
O (0.4417, 0.0572, 0.7322)
O (0.5583, 0.9428, 0.2678)
O (0.6846, 0.7214, 0.5520)
O (0.7291, 0.6918, 0.9410)
O (0.7695, 0.1989, 0.5250)
O (0.8007, 0.2338, 0.9639)
O (0.8973, 0.5042, 0.2309)

Calculated values
As for the total energy: -6.8440 eV per atom. The excess energy over the best structure of this formula in the dataset comes out at 3 meV per atom. As for the formation energy: -3.01 eV per atom.